1.
# EuMnNbBiO6 GGA+U relaxed
# Energy relative to the elements = -2.412 eV/atom
# Spin magnetization = 7.9 μB/cell
# VASP energy = -325.72 eV per cell
data_EuMnNbBiO6
_chemical_formula_sum 'Eu4 Mn4 Nb4 Bi4 O24'
_symmetry_space_group_name_H-M 'F -4 3 m'
_symmetry_Int_Tables_number 216
_symmetry_space_group_name_Hall 'F -4 2 3'
_cell_length_a 8.1460
_cell_length_b 8.1460
_cell_length_c 8.1460
_cell_angle_alpha 90.00
_cell_angle_beta 90.00
_cell_angle_gamma 90.00
loop_
_atom_site_label
_atom_site_fract_x
_atom_site_fract_y
_atom_site_fract_z
Eu1 0.0000 0.0000 0.0000
Mn1 0.2500 0.2500 0.2500
Nb1 0.2500 0.2500 0.7500
Bi1 0.0000 0.0000 0.5000
O1 0.0051 0.2500 0.7500



2.
# MgFe6O6F6 GGA+U relaxed
# Energy relative to the elements = -2.106 eV/atom
# Spin magnetization = 28.0 μB/cell
# VASP energy = -113.17 eV per cell
data_MgFe6O6F6
_chemical_formula_sum 'Mg1 Fe6 O6 F6'
_symmetry_space_group_name_H-M 'P 1'
_symmetry_Int_Tables_number 1
_cell_length_a 3.1024
_cell_length_b 6.9368
_cell_length_c 11.1431
_cell_angle_alpha 73.36
_cell_angle_beta 89.78
_cell_angle_gamma 89.92
loop_
_symmetry_equiv_pos_as_xyz
'x,y,z'
loop_
_atom_site_label
_atom_site_fract_x
_atom_site_fract_y
_atom_site_fract_z
Mg1 0.0000 0.0000 0.0000
Fe1 0.4501 0.9935 0.4907
Fe2 0.4786 0.3181 0.7833
Fe3 0.4837 0.6180 0.1428
Fe4 0.9486 0.8143 0.8225
Fe5 0.9499 0.1614 0.2237
Fe6 0.9616 0.4504 0.4969
O1 0.4490 0.0389 0.3155
O2 0.4611 0.4320 0.6085
O3 0.4907 0.8001 0.9690
O4 0.9510 0.1694 0.5002
O5 0.9797 0.1382 0.8151
O6 0.9833 0.4553 0.1482
F1 0.4370 0.8651 0.6910
F2 0.4665 0.5344 0.3623
F3 0.4975 0.1675 0.0264
F4 0.9515 0.7770 0.5033
F5 0.9638 0.5022 0.8246
F6 0.9811 0.8162 0.1719



3.
# Li9Mn2Co5O16 GGA+U relaxed
# Energy relative to the elements = -1.805 eV/atom
# Spin magnetization = 10.5 μB/cell
# VASP energy = -185.45 eV per cell
data_Li9Mn2Co5O16
_chemical_formula_sum 'Li9 Mn2 Co5 O16'
_symmetry_space_group_name_H-M 'P 1'
_symmetry_Int_Tables_number 1
_cell_length_a 2.9615
_cell_length_b 9.8606
_cell_length_c 10.0127
_cell_angle_alpha 78.54
_cell_angle_beta 87.66
_cell_angle_gamma 87.43
loop_
_symmetry_equiv_pos_as_xyz
'x,y,z'
loop_
_atom_site_label
_atom_site_fract_x
_atom_site_fract_y
_atom_site_fract_z
Li1 0.0000 0.0000 0.0000
Li2 0.0010 0.4968 0.2479
Li3 0.0255 0.0038 0.5066
Li4 0.4845 0.9901 0.2481
Li5 0.5060 0.4966 0.0011
Li6 0.5120 0.4916 0.5089
Li7 0.5126 0.0069 0.7465
Li8 0.9890 0.2361 0.6266
Li9 0.9952 0.4905 0.7562
Mn1 0.4967 0.7427 0.6286
Mn2 0.5156 0.2464 0.3815
Co1 0.0170 0.2501 0.1243
Co2 0.0177 0.7474 0.8785
Co3 0.4961 0.2468 0.8677
Co4 0.5110 0.7505 0.1239
Co5 0.9973 0.7449 0.3737
O1 0.0232 0.8593 0.6958
O2 0.0239 0.6340 0.0572
O3 0.0264 0.3581 0.9452
O4 0.0364 0.1424 0.3103
O5 0.4767 0.1393 0.0550
O6 0.4819 0.6327 0.8131
O7 0.4861 0.6304 0.3070
O8 0.5034 0.3610 0.7115
O9 0.5045 0.8567 0.4442
O10 0.5060 0.1279 0.5476
O11 0.5455 0.8617 0.9413
O12 0.5465 0.3603 0.1920
O13 0.9672 0.1308 0.8214
O14 0.9743 0.6239 0.5672
O15 0.9932 0.8679 0.1871
O16 0.9952 0.3561 0.4306



4.
# Li2Ti4CoAs4O20 GGA+U relaxed
# Energy relative to the elements = -2.462 eV/atom
# Spin magnetization = 0.0 μB/cell
# VASP energy = -442.08 eV per cell
data_Li2Ti4CoAs4O20
_chemical_formula_sum 'Li4 Ti8 Co2 As8 O40'
_symmetry_space_group_name_H-M 'P 1'
_symmetry_Int_Tables_number 1
_cell_length_a 10.0853
_cell_length_b 10.1073
_cell_length_c 10.1078
_cell_angle_alpha 96.75
_cell_angle_beta 116.09
_cell_angle_gamma 115.76
loop_
_symmetry_equiv_pos_as_xyz
'x,y,z'
loop_
_atom_site_label
_atom_site_fract_x
_atom_site_fract_y
_atom_site_fract_z
Li1 0.0000 0.0000 0.0000
Li2 0.0012 0.2528 0.2507
Li3 0.5080 0.2544 0.7561
Li4 0.9993 0.7463 0.7479
Ti1 0.1589 0.0636 0.3416
Ti2 0.1628 0.5664 0.8344
Ti3 0.3392 0.6539 0.4214
Ti4 0.3406 0.1544 0.9319
Ti5 0.6619 0.8474 0.0772
Ti6 0.6670 0.3498 0.5707
Ti7 0.8412 0.9373 0.6572
Ti8 0.8466 0.4392 0.1693
Co1 0.5003 0.0015 0.5017
Co2 0.5043 0.5016 0.9995
As1 0.1278 0.7543 0.1232
As2 0.1291 0.2575 0.6215
As3 0.3738 0.3783 0.2473
As4 0.3747 0.8778 0.7504
As5 0.6291 0.6255 0.7509
As6 0.6315 0.1245 0.2532
As7 0.8737 0.7446 0.3773
As8 0.8784 0.2499 0.8800
O1 0.0649 0.9039 0.4146
O2 0.0667 0.4046 0.9113
O3 0.1190 0.0203 0.8469
O4 0.1188 0.5152 0.3313
O5 0.1222 0.4216 0.6528
O6 0.1224 0.9220 0.1554
O7 0.1354 0.2210 0.4555
O8 0.1379 0.7224 0.9601
O9 0.1874 0.2184 0.2174
O10 0.1909 0.7295 0.7308
O11 0.3140 0.7921 0.2919
O12 0.3182 0.2865 0.7832
O13 0.3679 0.8421 0.5769
O14 0.3722 0.3431 0.0752
O15 0.3831 0.1371 0.4780
O16 0.3837 0.0533 0.7881
O17 0.3837 0.5513 0.2855
O18 0.3846 0.6341 0.9634
O19 0.4375 0.0917 0.1012
O20 0.4384 0.5921 0.5967
O21 0.5664 0.4110 0.3998
O22 0.5669 0.9108 0.9037
O23 0.6204 0.4506 0.7127
O24 0.6206 0.3642 0.0254
O25 0.6210 0.8714 0.5343
O26 0.6233 0.9515 0.2164
O27 0.6329 0.1606 0.4250
O28 0.6363 0.6600 0.9248
O29 0.6873 0.2161 0.7161
O30 0.6895 0.7118 0.2106
O31 0.8138 0.2764 0.2737
O32 0.8171 0.7826 0.7805
O33 0.8664 0.2797 0.0423
O34 0.8666 0.7815 0.5427
O35 0.8802 0.5795 0.3467
O36 0.8832 0.0826 0.8470
O37 0.8845 0.9824 0.1574
O38 0.8861 0.4884 0.6650
O39 0.9378 0.5985 0.0898
O40 0.9397 0.0995 0.5870



5.
# Ti3VSb2P6O24 GGA+U relaxed
# Energy relative to the elements = -2.696 eV/atom
# Spin magnetization = 15.0 μB/cell
# VASP energy = -813.42 eV per cell
data_Ti3VSb2P6O24
_chemical_formula_sum 'Ti9 V3 Sb6 P18 O72'
_symmetry_space_group_name_H-M 'R 3'
_symmetry_Int_Tables_number 146
_symmetry_space_group_name_Hall 'R 3'
_cell_length_a 8.7197
_cell_length_b 8.7197
_cell_length_c 22.1518
_cell_angle_alpha 90.00
_cell_angle_beta 90.00
_cell_angle_gamma 120.00
loop_
_atom_site_label
_atom_site_fract_x
_atom_site_fract_y
_atom_site_fract_z
Ti1 0.0000 0.0000 0.0000
Ti2 0.0000 0.0000 0.2041
Ti3 0.0000 0.0000 0.5016
V1 0.0000 0.0000 0.7072
Sb1 0.0000 0.0000 0.3502
Sb2 0.0000 0.0000 0.8495
P1 0.9996 0.2917 0.6032
P2 0.0017 0.7103 0.1032
O1 0.0062 0.8094 0.0451
O2 0.0069 0.1970 0.5449
O3 0.0158 0.1814 0.2679
O4 0.0216 0.8319 0.7735
O5 0.1369 0.4575 0.3276
O6 0.1436 0.6687 0.8271
O7 0.1680 0.4818 0.6013
O8 0.1698 0.6895 0.1025



6.
# MnFeH4O2F5 GGA+U relaxed
# Energy relative to the elements = -2.090 eV/atom
# Spin magnetization = 0.0 μB/cell
# VASP energy = -280.96 eV per cell
data_MnFeH4O2F5
_chemical_formula_sum 'Mn4 Fe4 H16 O8 F20'
_symmetry_space_group_name_H-M 'C 1 m 1'
_symmetry_Int_Tables_number 8
_cell_length_a 12.9780
_cell_length_b 7.6769
_cell_length_c 6.6731
_cell_angle_alpha 90.00
_cell_angle_beta 120.94
_cell_angle_gamma 90.00
loop_
_symmetry_equiv_pos_as_xyz
'x,y,z'
'x,-y,z'
'x+1/2,y+1/2,z'
'x+1/2,-y+1/2,z'
loop_
_atom_site_label
_atom_site_fract_x
_atom_site_fract_y
_atom_site_fract_z
Mn1 0.0000 0.0000 0.0000
Mn2 0.0004 0.5000 0.4994
Fe1 0.2502 0.2503 0.4995
H1 0.0916 0.1026 0.7081
H2 0.0918 0.3977 0.9758
H3 0.4084 0.1025 0.0233
H4 0.4087 0.3975 0.2917
O1 0.0698 0.0000 0.7667
O2 0.0700 0.5000 0.8735
O3 0.4304 0.0000 0.1256
O4 0.4306 0.5000 0.2332
F1 0.1247 0.2109 0.1747
F2 0.1251 0.2897 0.5754
F3 0.2484 0.0000 0.5700
F4 0.2520 0.5000 0.4298
F5 0.3755 0.2102 0.4245
F6 0.3756 0.2891 0.8249



7.
# Li3V2O4F4 GGA+U relaxed
# Energy relative to the elements = -2.718 eV/atom
# Spin magnetization = 0.0 μB/cell
# VASP energy = -157.37 eV per cell
data_Li3V2O4F4
_chemical_formula_sum 'Li6 V4 O8 F8'
_symmetry_space_group_name_H-M 'P 1'
_symmetry_Int_Tables_number 1
_cell_length_a 4.9505
_cell_length_b 7.3406
_cell_length_c 7.7001
_cell_angle_alpha 101.85
_cell_angle_beta 90.03
_cell_angle_gamma 90.08
loop_
_symmetry_equiv_pos_as_xyz
'x,y,z'
loop_
_atom_site_label
_atom_site_fract_x
_atom_site_fract_y
_atom_site_fract_z
Li1 0.0000 0.0000 0.0000
Li2 0.0094 0.5340 0.0253
Li3 0.4788 0.8923 0.5360
Li4 0.4979 0.2174 0.2621
Li5 0.5106 0.6830 0.2328
Li6 0.9817 0.3262 0.7153
V1 0.0105 0.5346 0.4681
V2 0.4721 0.1890 0.7954
V3 0.5092 0.6842 0.7873
V4 0.9699 0.0281 0.4627
O1 0.1178 0.3140 0.4540
O2 0.1858 0.0641 0.6642
O3 0.2968 0.6628 0.5893
O4 0.3488 0.4094 0.8154
O5 0.6126 0.9057 0.8030
O6 0.6866 0.1520 0.5879
O7 0.7953 0.5557 0.6631
O8 0.8469 0.8079 0.4399
F1 0.1772 0.5610 0.2434
F2 0.1906 0.7533 0.9392
F3 0.3113 0.9493 0.3291
F4 0.3305 0.1571 0.0241
F5 0.6759 0.6571 0.0123
F6 0.6965 0.4642 0.3118
F7 0.8166 0.2691 0.9226
F8 0.8323 0.0618 0.2337



8.
# MgCr2Fe2O6 GGA+U relaxed
# Energy relative to the elements = -2.057 eV/atom
# Spin magnetization = 42.0 μB/cell
# VASP energy = -232.60 eV per cell
data_MgCr2Fe2O6
_chemical_formula_sum 'Mg3 Cr6 Fe6 O18'
_symmetry_space_group_name_H-M 'R -3'
_symmetry_Int_Tables_number 148
_symmetry_space_group_name_Hall '-R 3'
_cell_length_a 5.1759
_cell_length_b 5.1759
_cell_length_c 15.1361
_cell_angle_alpha 90.00
_cell_angle_beta 90.00
_cell_angle_gamma 120.00
loop_
_atom_site_label
_atom_site_fract_x
_atom_site_fract_y
_atom_site_fract_z
Mg1 0.0000 0.0000 0.0000
Cr1 0.0000 0.0000 0.3447
Fe1 0.0000 0.0000 0.1688
O1 0.0073 0.3210 0.7412



9.
# SrCa7Mn7CrO23 GGA+U relaxed
# Energy relative to the elements = -2.508 eV/atom
# Spin magnetization = 100.0 μB/cell
# VASP energy = -1086.55 eV per cell
data_SrCa7Mn7CrO23
_chemical_formula_sum 'Sr4 Ca28 Mn28 Cr4 O92'
_symmetry_space_group_name_H-M 'P 1'
_symmetry_Int_Tables_number 1
_cell_length_a 10.7907
_cell_length_b 10.8862
_cell_length_c 15.4138
_cell_angle_alpha 90.09
_cell_angle_beta 90.09
_cell_angle_gamma 90.24
loop_
_symmetry_equiv_pos_as_xyz
'x,y,z'
loop_
_atom_site_label
_atom_site_fract_x
_atom_site_fract_y
_atom_site_fract_z
Sr1 0.0000 0.0000 0.0000
Sr2 0.0088 0.0078 0.7328
Sr3 0.2499 0.7746 0.7349
Sr4 0.7425 0.2602 0.9972
Ca1 0.9996 0.5339 0.2409
Ca2 0.0010 0.0346 0.2432
Ca3 0.2412 0.7818 0.2422
Ca4 0.2431 0.2867 0.2407
Ca5 0.2491 0.7380 0.9946
Ca6 0.2510 0.7346 0.4888
Ca7 0.2519 0.2870 0.7452
Ca8 0.2550 0.2421 0.0007
Ca9 0.2607 0.2438 0.4802
Ca10 0.4682 0.9868 0.9963
Ca11 0.4756 0.0321 0.7294
Ca12 0.4895 0.9887 0.4853
Ca13 0.4901 0.4906 0.4880
Ca14 0.4925 0.4894 0.9958
Ca15 0.5001 0.0333 0.2416
Ca16 0.4997 0.5330 0.2418
Ca17 0.5008 0.5353 0.7392
Ca18 0.7189 0.3005 0.7363
Ca19 0.7357 0.7714 0.7318
Ca20 0.7395 0.2828 0.2411
Ca21 0.7396 0.7819 0.2422
Ca22 0.7417 0.2484 0.4836
Ca23 0.7454 0.7273 0.0013
Ca24 0.7493 0.7363 0.4881
Ca25 0.9922 0.5001 0.0029
Ca26 0.9915 0.9866 0.4869
Ca27 0.9935 0.4971 0.4810
Ca28 0.9983 0.5367 0.7338
Mn1 0.0098 0.2834 0.8737
Mn2 0.2416 0.0118 0.8661
Mn3 0.2450 0.0121 0.3648
Mn4 0.2455 0.5123 0.3645
Mn5 0.2459 0.0117 0.1204
Mn6 0.2461 0.5063 0.6149
Mn7 0.2459 0.5129 0.1172
Mn8 0.2487 0.5106 0.8664
Mn9 0.2511 0.0030 0.6062
Mn10 0.4861 0.2651 0.8663
Mn11 0.4917 0.7547 0.8684
Mn12 0.4931 0.2622 0.6135
Mn13 0.4936 0.2614 0.1189
Mn14 0.4943 0.7622 0.1171
Mn15 0.4952 0.7622 0.3652
Mn16 0.4970 0.2620 0.3639
Mn17 0.4989 0.7586 0.6116
Mn18 0.7411 0.5130 0.6129
Mn19 0.7448 0.5117 0.3653
Mn20 0.7453 0.5143 0.8649
Mn21 0.7459 0.0109 0.1225
Mn22 0.7455 0.5118 0.1206
Mn23 0.7482 0.0117 0.3655
Mn24 0.9850 0.2708 0.5996
Mn25 0.9943 0.7624 0.3643
Mn26 0.9949 0.7622 0.1181
Mn27 0.9960 0.2631 0.1217
Mn28 0.9974 0.2613 0.3643
Cr1 0.0100 0.7469 0.8670
Cr2 0.7041 0.0199 0.8580
Cr3 0.7405 0.0131 0.6076
Cr4 0.9933 0.7564 0.6108
O1 0.0253 0.2631 0.9951
O2 0.0289 0.7694 0.9940
O3 0.0310 0.7651 0.4893
O4 0.0464 0.2723 0.4869
O5 0.0912 0.9064 0.8579
O6 0.0966 0.9087 0.3474
O7 0.0984 0.9082 0.1381
O8 0.1004 0.3824 0.6463
O9 0.0996 0.4087 0.3438
O10 0.1006 0.4081 0.1368
O11 0.1008 0.4146 0.8347
O12 0.1043 0.8984 0.6202
O13 0.1150 0.1592 0.8367
O14 0.1324 0.6436 0.6340
O15 0.1403 0.1568 0.1377
O16 0.1402 0.6581 0.1360
O17 0.1400 0.6580 0.3465
O18 0.1426 0.1581 0.3418
O19 0.1476 0.6524 0.8454
O20 0.2031 0.0320 0.4892
O21 0.2060 0.5175 0.9910
O22 0.2069 0.5158 0.4902
O23 0.2224 0.0269 0.9932
O24 0.2586 0.0191 0.7320
O25 0.2845 0.5064 0.2409
O26 0.2855 0.9983 0.2430
O27 0.2883 0.5041 0.7399
O28 0.3388 0.3588 0.8832
O29 0.3437 0.3590 0.5967
O30 0.3481 0.8627 0.8839
O31 0.3481 0.8660 0.0964
O32 0.3480 0.8674 0.3884
O33 0.3497 0.3691 0.0996
O34 0.3524 0.3698 0.3819
O35 0.3610 0.8617 0.5940
O36 0.3894 0.1173 0.1009
O37 0.3903 0.1161 0.5942
O38 0.3905 0.6141 0.5940
O39 0.3903 0.6179 0.0943
O40 0.3899 0.6184 0.3871
O41 0.3913 0.1169 0.3850
O42 0.3924 0.1132 0.8782
O43 0.3948 0.6104 0.8884
O44 0.4568 0.7519 0.2409
O45 0.4585 0.2515 0.2415
O46 0.4636 0.2515 0.7396
O47 0.4723 0.7500 0.7409
O48 0.5174 0.2690 0.9910
O49 0.5301 0.2717 0.4900
O50 0.5342 0.7753 0.9912
O51 0.5380 0.7727 0.4891
O52 0.5871 0.9155 0.8432
O53 0.5949 0.4098 0.6352
O54 0.5968 0.9098 0.1316
O55 0.5975 0.4090 0.8454
O56 0.5984 0.9088 0.3472
O57 0.6014 0.4055 0.1361
O58 0.6014 0.4063 0.3447
O59 0.6062 0.9076 0.6407
O60 0.6390 0.1560 0.1321
O61 0.6406 0.6571 0.3451
O62 0.6416 0.6576 0.1344
O63 0.6436 0.1586 0.3472
O64 0.6439 0.6568 0.6297
O65 0.6446 0.1661 0.8481
O66 0.6461 0.1535 0.6383
O67 0.6493 0.6641 0.8515
O68 0.7063 0.0269 0.4939
O69 0.7058 0.5185 0.4894
O70 0.7120 0.5082 0.9917
O71 0.7576 0.0103 0.9618
O72 0.7812 0.5121 0.7391
O73 0.7844 0.0000 0.2472
O74 0.7837 0.5026 0.2430
O75 0.7944 0.9963 0.7684
O76 0.8380 0.3653 0.6021
O77 0.8472 0.8713 0.5999
O78 0.8476 0.8661 0.0970
O79 0.8497 0.8683 0.3901
O80 0.8516 0.3540 0.8664
O81 0.8539 0.3696 0.3889
O82 0.8578 0.3753 0.1023
O83 0.8849 0.1230 0.1034
O84 0.8870 0.6214 0.8915
O85 0.8888 0.6194 0.3854
O86 0.8887 0.6199 0.0991
O87 0.8914 0.1195 0.3907
O88 0.8922 0.6143 0.5944
O89 0.9028 0.1175 0.6064
O90 0.9543 0.2522 0.2446
O91 0.9543 0.7525 0.2420
O92 0.9598 0.7603 0.7398